A geometry-optimized Dy3NiPd2 structure. Source: Materials Project, functional r²SCAN.

Cell and atoms, written as POSCAR:
```
Dy3NiPd2
1.0
5.474 0.000 0.000
0.000 4.442 0.000
-1.329 0.000 10.472
Dy Ni Pd
6 2 4
direct
0.097 0.250 0.283
0.239 0.250 0.957
0.388 0.250 0.625
0.612 0.750 0.375
0.761 0.750 0.043
0.903 0.750 0.717
0.278 0.750 0.139
0.722 0.250 0.861
0.146 0.750 0.471
0.425 0.750 0.810
0.575 0.250 0.190
0.854 0.250 0.529
```

Calculated values
* spin magnetization: 0.00 μB per formula unit
* V: 255 Å³ per cell
* formation energy from the elements: -73.83 kJ/mol of atoms

---

A geometry-optimized Tb2Sb5 structure. Source: Materials Project, functional r²SCAN.

Cell and atoms, written as POSCAR:
```
Tb2Sb5
1.0
13.236 0.000 0.000
0.000 4.222 0.000
-3.221 0.000 14.517
Tb Sb
8 20
direct
0.048 0.250 0.365
0.331 0.250 0.578
0.338 0.250 0.855
0.393 0.750 0.229
0.607 0.250 0.771
0.662 0.750 0.145
0.669 0.750 0.422
0.952 0.750 0.635
0.029 0.250 0.106
0.138 0.250 0.676
0.140 0.750 0.223
0.143 0.750 0.520
0.153 0.750 0.822
0.282 0.250 0.059
0.289 0.250 0.351
0.420 0.750 0.025
0.423 0.750 0.447
0.425 0.750 0.735
0.575 0.250 0.265
0.577 0.250 0.553
0.580 0.250 0.975
0.711 0.750 0.649
0.718 0.750 0.941
0.847 0.250 0.178
0.857 0.250 0.480
0.860 0.250 0.777
0.862 0.750 0.324
0.971 0.750 0.894
```

Calculated values
* spin magnetization: 0.00 μB per formula unit
* V: 811 Å³ per cell
* formation energy from the elements: -74.25 kJ/mol of atoms

---

A geometry-optimized Dy2Al structure. Source: Materials Project, functional r²SCAN.

Cell and atoms, written as POSCAR:
```
Dy2Al
1.0
6.546 0.000 0.000
0.000 5.084 0.000
0.000 0.000 9.422
Dy Al
8 4
direct
0.027 0.250 0.209
0.190 0.250 0.574
0.310 0.750 0.074
0.473 0.750 0.709
0.527 0.250 0.291
0.690 0.250 0.926
0.810 0.750 0.426
0.973 0.750 0.791
0.210 0.250 0.897
0.290 0.750 0.397
0.710 0.250 0.603
0.790 0.750 0.103
```

Calculated values
* spin magnetization: 0.00 μB per formula unit
* V: 314 Å³ per cell
* formation energy from the elements: -33.22 kJ/mol of atoms

---

A geometry-optimized Nb4NiS8 structure. Source: Materials Project, functional r²SCAN.

Cell and atoms, written as POSCAR:
```
Nb4NiS8
1.0
6.713 0.000 0.000
-3.356 5.813 0.000
0.000 0.000 11.998
Nb Ni S
8 2 16
direct
0.000 0.000 0.250
0.000 0.000 0.750
0.014 0.507 0.250
0.493 0.507 0.250
0.493 0.986 0.250
0.507 0.014 0.750
0.507 0.493 0.750
0.986 0.493 0.750
0.000 0.000 0.000
0.000 0.000 0.500
0.167 0.333 0.620
0.167 0.333 0.880
0.167 0.833 0.620
0.167 0.833 0.880
0.333 0.167 0.120
0.333 0.167 0.380
0.333 0.667 0.116
0.333 0.667 0.384
0.667 0.333 0.616
0.667 0.333 0.884
0.667 0.833 0.620
0.667 0.833 0.880
0.833 0.167 0.120
0.833 0.167 0.380
0.833 0.667 0.120
0.833 0.667 0.380
```

Calculated values
* spin magnetization: 1.62 μB per formula unit
* V: 468 Å³ per cell
* formation energy from the elements: -111.02 kJ/mol of atoms